Density functional theory data (PBE+U) for a relaxed Ba8Co7O19 crystal.

Unit cell a=10.792 b=10.814 c=11.722 alpha=104.53 beta=105.74 gamma=115.58
Space group P1 (No. 1)
Unique sites:
Ba1 0.000 0.000 0.000 (multiplicity 1)
Ba2 0.003 0.001 0.549 (multiplicity 1)
Ba3 0.010 0.718 0.699 (multiplicity 1)
Ba4 0.213 0.447 0.682 (multiplicity 1)
Ba5 0.227 0.431 0.203 (multiplicity 1)
Ba6 0.246 0.754 0.044 (multiplicity 1)
Ba7 0.249 0.742 0.499 (multiplicity 1)
Ba8 0.461 0.219 0.684 (multiplicity 1)
Ba9 0.477 0.215 0.180 (multiplicity 1)
Ba10 0.507 0.508 0.024 (multiplicity 1)
Ba11 0.537 0.532 0.542 (multiplicity 1)
Ba12 0.690 0.988 0.704 (multiplicity 1)
Ba13 0.707 0.975 0.193 (multiplicity 1)
Ba14 0.764 0.266 0.527 (multiplicity 1)
Ba15 0.794 0.294 0.052 (multiplicity 1)
Ba16 0.959 0.755 0.199 (multiplicity 1)
Co1 0.010 0.321 0.369 (multiplicity 1)
Co2 0.118 0.214 0.857 (multiplicity 1)
Co3 0.154 0.168 0.344 (multiplicity 1)
Co4 0.284 0.103 0.864 (multiplicity 1)
Co5 0.353 0.050 0.363 (multiplicity 1)
Co6 0.424 0.953 0.848 (multiplicity 1)
Co7 0.461 0.875 0.355 (multiplicity 1)
Co8 0.561 0.777 0.875 (multiplicity 1)
Co9 0.595 0.722 0.350 (multiplicity 1)
Co10 0.711 0.644 0.848 (multiplicity 1)
Co11 0.754 0.620 0.360 (multiplicity 1)
Co12 0.862 0.508 0.857 (multiplicity 1)
Co13 0.892 0.483 0.356 (multiplicity 1)
Co14 0.971 0.353 0.851 (multiplicity 1)
O1 0.005 0.245 0.950 (multiplicity 1)
O2 0.012 0.492 0.513 (multiplicity 1)
O3 0.038 0.502 0.795 (multiplicity 1)
O4 0.044 0.468 0.290 (multiplicity 1)
O5 0.067 0.991 0.790 (multiplicity 1)
O6 0.192 0.069 0.443 (multiplicity 1)
O7 0.218 0.067 0.224 (multiplicity 1)
O8 0.238 0.845 0.291 (multiplicity 1)
O9 0.242 0.383 0.436 (multiplicity 1)
O10 0.260 0.253 0.786 (multiplicity 1)
O11 0.268 0.252 0.012 (multiplicity 1)
O12 0.294 0.954 0.705 (multiplicity 1)
O13 0.295 0.939 0.935 (multiplicity 1)
O14 0.413 0.761 0.732 (multiplicity 1)
O15 0.431 0.718 0.215 (multiplicity 1)
O16 0.433 0.694 0.938 (multiplicity 1)
O17 0.485 0.246 0.440 (multiplicity 1)
O18 0.489 0.019 0.503 (multiplicity 1)
O19 0.498 0.012 0.279 (multiplicity 1)
O20 0.498 0.206 0.938 (multiplicity 1)
O21 0.502 0.771 0.456 (multiplicity 1)
O22 0.515 0.498 0.780 (multiplicity 1)
O23 0.531 0.510 0.287 (multiplicity 1)
O24 0.624 0.998 0.941 (multiplicity 1)
O25 0.690 0.789 0.787 (multiplicity 1)
O26 0.723 0.783 0.008 (multiplicity 1)
O27 0.743 0.781 0.288 (multiplicity 1)
O28 0.750 0.511 0.708 (multiplicity 1)
O29 0.753 0.492 0.218 (multiplicity 1)
O30 0.757 0.286 0.784 (multiplicity 1)
O31 0.762 0.733 0.510 (multiplicity 1)
O32 0.777 0.273 0.287 (multiplicity 1)
O33 0.922 0.708 0.944 (multiplicity 1)
O34 0.961 0.186 0.442 (multiplicity 1)
O35 0.961 0.691 0.439 (multiplicity 1)
O36 0.965 0.192 0.712 (multiplicity 1)
O37 0.979 0.516 0.009 (multiplicity 1)
O38 0.998 0.157 0.210 (multiplicity 1)

Results
M_tot = 26.00 μB/cell
uncorrected energy = -410.1 eV per cell
energy of formation from the pure elements = -70.460 eV/f.u.

Density functional theory data (PBE+U) for a relaxed BaCoO3 crystal.

Unit cell a=3.982 b=3.982 c=3.982 alpha=90.00 beta=90.00 gamma=90.00
Space group Pm-3m (No. 221)
Unique sites:
Ba1 0.000 0.000 0.000 (multiplicity 1)
Co1 0.500 0.500 0.500 (multiplicity 1)
O1 0.000 0.500 0.500 (multiplicity 3)

Results
M_tot = 3.58 μB/cell
uncorrected energy = -29.3 eV per cell
energy of formation from the pure elements = -9.153 eV/f.u.